(1)
The following is a DFT calculation (r²SCAN) of crystalline Mn8Cl3O10 at its relaxed geometry.

Unit cell a=9.3517 b=9.3517 c=12.9011 alpha=90.00 beta=90.00 gamma=90.00
Space group I4/mmm (No. 139)
Asymmetric unit:
Mn 0.0000 0.0000 0.0000 (multiplicity 2)
Mn 0.0000 0.0000 0.5000 (multiplicity 2)
Mn 0.0000 0.3506 0.0000 (multiplicity 8)
Mn 0.0000 0.5000 0.2500 (multiplicity 4)
Mn 0.1756 0.1756 0.1762 (multiplicity 16)
Cl 0.0000 0.0000 0.3031 (multiplicity 4)
Cl 0.1971 0.1971 0.5000 (multiplicity 8)
O 0.0000 0.2005 0.0999 (multiplicity 16)
O 0.0000 0.5000 0.0985 (multiplicity 8)
O 0.1548 0.3452 0.2500 (multiplicity 16)

Values from the calculation:
calculated formation energy	-2.0141	eV/atom
volume	1128.25	Å³/cell

(2)
The following is a DFT calculation (r²SCAN) of crystalline Rb2MnCl4 at its relaxed geometry.

Unit cell a=5.0447 b=5.0447 c=16.2231 alpha=90.00 beta=90.00 gamma=90.00
Space group I4/mmm (No. 139)
Asymmetric unit:
Rb 0.0000 0.0000 0.1417 (multiplicity 4)
Mn 0.0000 0.0000 0.5000 (multiplicity 2)
Cl 0.0000 0.0000 0.3439 (multiplicity 4)
Cl 0.0000 0.5000 0.0000 (multiplicity 4)

Values from the calculation:
calculated formation energy	-1.9582	eV/atom
volume	412.86	Å³/cell

(3)
The following is a DFT calculation (r²SCAN) of crystalline Rb2MnCl6 at its relaxed geometry.

Unit cell a=9.8888 b=9.8888 c=9.8888 alpha=90.00 beta=90.00 gamma=90.00
Space group Fm-3m (No. 225)
Asymmetric unit:
Rb 0.2500 0.2500 0.2500 (multiplicity 8)
Mn 0.0000 0.0000 0.0000 (multiplicity 4)
Cl 0.0000 0.0000 0.2309 (multiplicity 24)

Values from the calculation:
calculated formation energy	-1.6686	eV/atom
volume	967.02	Å³/cell

(4)
The following is a DFT calculation (r²SCAN) of crystalline Rb3Mn2Cl7 at its relaxed geometry.

Unit cell a=5.0511 b=5.0511 c=26.2037 alpha=90.00 beta=90.00 gamma=90.00
Space group I4/mmm (No. 139)
Asymmetric unit:
Rb 0.0000 0.0000 0.0000 (multiplicity 2)
Rb 0.0000 0.0000 0.1818 (multiplicity 4)
Mn 0.0000 0.0000 0.4019 (multiplicity 4)
Cl 0.0000 0.0000 0.3068 (multiplicity 4)
Cl 0.0000 0.0000 0.5000 (multiplicity 2)
Cl 0.0000 0.5000 0.0949 (multiplicity 8)

Values from the calculation:
calculated formation energy	-1.9191	eV/atom
volume	668.56	Å³/cell

(5)
The following is a DFT calculation (r²SCAN) of crystalline MnTlCl3 at its relaxed geometry.

Unit cell a=8.9967 b=3.8219 c=14.6873 alpha=90.00 beta=90.00 gamma=90.00
Space group Pnma (No. 62)
Asymmetric unit:
Mn 0.1631 0.2500 0.0540 (multiplicity 4)
Tl 0.0570 0.7500 0.3236 (multiplicity 4)
Cl 0.0212 0.2500 0.9014 (multiplicity 4)
Cl 0.1767 0.2500 0.4963 (multiplicity 4)
Cl 0.2251 0.7500 0.7049 (multiplicity 4)

Values from the calculation:
calculated formation energy	-1.4302	eV/atom
volume	505.02	Å³/cell

(6)
The following is a DFT calculation (r²SCAN) of crystalline MoCl4 at its relaxed geometry.

Unit cell a=6.2466 b=10.8278 c=13.2953 alpha=90.00 beta=117.85 gamma=90.00
Space group P2/c (No. 13)
Asymmetric unit:
Mo 0.0000 0.0732 0.2500 (multiplicity 2)
Mo 0.5000 0.2536 0.2500 (multiplicity 2)
Mo 0.5000 0.4012 0.7500 (multiplicity 2)
Cl 0.0240 0.0639 0.6277 (multiplicity 4)
Cl 0.0579 0.2444 0.1392 (multiplicity 4)
Cl 0.0961 0.4284 0.6423 (multiplicity 4)
Cl 0.4410 0.0927 0.3664 (multiplicity 4)
Cl 0.4595 0.2617 0.8655 (multiplicity 4)
Cl 0.4721 0.4184 0.3686 (multiplicity 4)

Values from the calculation:
calculated formation energy	-1.0047	eV/atom
volume	795.13	Å³/cell

(7)
The following is a DFT calculation (r²SCAN) of crystalline MoCl4 at its relaxed geometry.

Unit cell a=12.3984 b=12.3984 c=6.1001 alpha=90.00 beta=90.00 gamma=120.00
Space group P-31m (No. 162)
Asymmetric unit:
Mo 0.1727 0.3455 0.0000 (multiplicity 6)
Cl 0.0000 0.1694 0.7938 (multiplicity 6)
Cl 0.0000 0.3298 0.2224 (multiplicity 6)
Cl 0.1668 0.4805 0.7603 (multiplicity 12)

Values from the calculation:
calculated formation energy	-1.0084	eV/atom
volume	812.07	Å³/cell

(8)
The following is a DFT calculation (r²SCAN) of crystalline MoPCl9 at its relaxed geometry.

Unit cell a=6.9920 b=9.0490 c=9.5814 alpha=100.62 beta=96.44 gamma=95.51
Space group P-1 (No. 2)
Asymmetric unit:
Mo 0.1154 0.1341 0.1715 (multiplicity 2)
P 0.4511 0.3118 0.7207 (multiplicity 2)
Cl 0.0057 0.7269 0.6289 (multiplicity 2)
Cl 0.0769 0.3331 0.0506 (multiplicity 2)
Cl 0.1214 0.9218 0.2805 (multiplicity 2)
Cl 0.2144 0.9807 0.9480 (multiplicity 2)
Cl 0.2490 0.4456 0.7275 (multiplicity 2)
Cl 0.3407 0.6042 0.3706 (multiplicity 2)
Cl 0.3440 0.1134 0.6122 (multiplicity 2)
Cl 0.4365 0.2180 0.2592 (multiplicity 2)
Cl 0.4474 0.7027 0.0860 (multiplicity 2)

Values from the calculation:
calculated formation energy	-0.8611	eV/atom
volume	587.84	Å³/cell

(9)
The following is a DFT calculation (r²SCAN) of crystalline Mo6PbCl14 at its relaxed geometry.

Unit cell a=13.1240 b=13.1240 c=13.1240 alpha=90.00 beta=90.00 gamma=90.00
Space group Pn-3 (No. 201, origin choice 2)
Asymmetric unit:
Mo 0.0278 0.5354 0.6326 (multiplicity 24)
Pb 0.0000 0.0000 0.5000 (multiplicity 4)
Cl 0.0656 0.6202 0.3138 (multiplicity 24)
Cl 0.0683 0.5869 0.8087 (multiplicity 24)
Cl 0.1342 0.1342 0.1342 (multiplicity 8)

Values from the calculation:
calculated formation energy	-1.1256	eV/atom
volume	2260.49	Å³/cell

(10)
The following is a DFT calculation (r²SCAN) of crystalline Rb3Mo2Cl9 at its relaxed geometry.

Unit cell a=7.1677 b=7.1677 c=17.5145 alpha=90.00 beta=90.00 gamma=120.00
Space group P6_3/mmc (No. 194)
Asymmetric unit:
Rb 0.0000 0.0000 0.2500 (multiplicity 2)
Rb 0.3333 0.6667 0.0682 (multiplicity 4)
Mo 0.3333 0.6667 0.6715 (multiplicity 4)
Cl 0.9999 0.5000 0.2500 (multiplicity 6)
Cl 0.1744 0.3488 0.5931 (multiplicity 12)

Values from the calculation:
calculated formation energy	-1.6190	eV/atom
volume	779.27	Å³/cell

(11)
The following is a DFT calculation (r²SCAN) of crystalline MoS2Cl3 at its relaxed geometry.

Unit cell a=6.2086 b=7.4059 c=13.7384 alpha=90.00 beta=115.52 gamma=90.00
Space group P2_1/c (No. 14)
Asymmetric unit:
Mo 0.2012 0.0969 0.0061 (multiplicity 4)
S 0.1667 0.5537 0.6562 (multiplicity 4)
S 0.1897 0.7236 0.5500 (multiplicity 4)
Cl 0.2697 0.1570 0.4120 (multiplicity 4)
Cl 0.2719 0.1671 0.6422 (multiplicity 4)
Cl 0.3511 0.5748 0.3836 (multiplicity 4)

Values from the calculation:
calculated formation energy	-0.7790	eV/atom
volume	570.07	Å³/cell

(12)
The following is a DFT calculation (r²SCAN) of crystalline Te3MoCl16 at its relaxed geometry.

Unit cell a=10.1553 b=12.1287 c=10.1650 alpha=90.00 beta=100.76 gamma=90.00
Space group P2_1 (No. 4)
Asymmetric unit:
Te 0.0419 0.0000 0.2586 (multiplicity 2)
Te 0.2380 0.5029 0.4563 (multiplicity 2)
Te 0.3667 0.7668 0.8666 (multiplicity 2)
Mo 0.1705 0.0258 0.6746 (multiplicity 2)
Cl 0.0303 0.8919 0.5257 (multiplicity 2)
Cl 0.0315 0.6305 0.3071 (multiplicity 2)
Cl 0.0700 0.1384 0.1079 (multiplicity 2)
Cl 0.0994 0.3886 0.8952 (multiplicity 2)
Cl 0.1342 0.9139 0.8546 (multiplicity 2)
Cl 0.1882 0.6166 0.6927 (multiplicity 2)
Cl 0.1920 0.1248 0.4747 (multiplicity 2)
Cl 0.2377 0.9050 0.2370 (multiplicity 2)
Cl 0.2547 0.4072 0.2600 (multiplicity 2)
Cl 0.2989 0.1507 0.8057 (multiplicity 2)
Cl 0.3259 0.6594 0.0484 (multiplicity 2)
Cl 0.3652 0.9157 0.6516 (multiplicity 2)
Cl 0.3908 0.6400 0.4300 (multiplicity 2)
Cl 0.3934 0.3872 0.5951 (multiplicity 2)
Cl 0.4515 0.1642 0.1794 (multiplicity 2)
Cl 0.4996 0.3928 0.9946 (multiplicity 2)

Values from the calculation:
calculated formation energy	-0.7326	eV/atom
volume	1230.02	Å³/cell

Question: Which value of calculated formation energy does entry 7 give?
Answer: -1.0084 eV/atom

Question: Number 3 is which compound?
Answer: Rb2MnCl6

Question: Number 8 is which compound?
Answer: MoPCl9

Question: The highest volume belongs to which entry?
Answer: Mo6PbCl14